[1]
BiBCl: relaxed, PBE.

a b c (Å): 4.6867 4.6867 4.6867
angles (deg): 60.00 60.00 60.00
Sites, in units of the cell vectors:
Bi1 0.5000 0.5000 0.5000
B1 0.0000 0.0000 0.0000
Cl1 0.7500 0.7500 0.7500

Computed properties:
The value obtained for the mass density is 5.82 g/cm3. Its formation energy is 4.3 eV/f.u.

=====

[2]
PmNd3: relaxed, PBE.

a b c (Å): 5.2065 5.2065 5.2065
angles (deg): 90.00 90.00 90.00
Sites, in units of the cell vectors:
Nd1 0.5000 0.0000 0.5000
Nd2 0.5000 0.5000 0.0000
Nd3 0.0000 0.5000 0.5000
Pm1 0.0000 0.0000 0.0000

Computed properties:
The value obtained for the polymorph energy (0 for the lowest one) is 0 meV/atom. The value obtained for the mass density is 6.80 g/cm3. Its formation energy is 0.0 eV/f.u.

=====

[3]
BaS5O20: relaxed, PBE.

a b c (Å): 5.0163 11.6740 29.5251
angles (deg): 90.00 90.00 90.00
Sites, in units of the cell vectors:
Ba1 0.4481 0.5998 0.9038
Ba2 0.0519 0.4002 0.4038
Ba3 0.9481 0.9002 0.0962
Ba4 0.5519 0.0998 0.5962
O1 0.3173 0.5610 0.8040
O2 0.2835 0.8604 0.9504
O3 0.5855 0.3984 0.3459
O4 0.1125 0.4526 0.5704
O5 0.7835 0.6396 0.0496
O6 0.8963 0.7424 0.9330
O7 0.4226 0.7309 0.6871
O8 0.6865 0.0666 0.3419
O9 0.7945 0.1033 0.0315
O10 0.1476 0.2328 0.8472
O11 0.9145 0.6016 0.8459
O12 0.5869 0.7237 0.4528
O13 0.8135 0.9334 0.8419
O14 0.5303 0.8800 0.6316
O15 0.1037 0.2424 0.5670
O16 0.6827 0.0610 0.6960
O17 0.8524 0.7328 0.6528
O18 0.4464 0.7991 0.8520
O19 0.4145 0.8984 0.1541
O20 0.8710 0.5153 0.1835
O21 0.2165 0.1396 0.4504
O22 0.6287 0.8415 0.7771
O23 0.2945 0.3967 0.9685
O24 0.1827 0.4390 0.3040
O25 0.4026 0.0189 0.0657
O26 0.1865 0.4334 0.6581
O27 0.3710 0.9847 0.8165
O28 0.6476 0.2672 0.1528
O29 0.8982 0.4717 0.7801
O30 0.3982 0.0283 0.2199
O31 0.3135 0.5666 0.1581
O32 0.0869 0.7763 0.5472
O33 0.4638 0.8327 0.2326
O34 0.1290 0.0153 0.3165
O35 0.9226 0.7691 0.3129
O36 0.0362 0.1673 0.7326
O37 0.5974 0.5189 0.4343
O38 0.9697 0.1200 0.1316
O39 0.1214 0.9085 0.4880
O40 0.9638 0.6673 0.7674
O41 0.7165 0.3604 0.5496
O42 0.8713 0.1585 0.2771
O43 0.6214 0.5915 0.5120
O44 0.9464 0.7009 0.1480
O45 0.0990 0.3567 0.4980
O46 0.9010 0.8567 0.0020
O47 0.5774 0.2309 0.8129
O48 0.5362 0.3327 0.2674
O49 0.6018 0.5283 0.2801
O50 0.5990 0.1433 0.5020
O51 0.3963 0.7576 0.0670
O52 0.9026 0.4811 0.9343
O53 0.8786 0.4085 0.0120
O54 0.0855 0.1016 0.6541
O55 0.3786 0.0915 0.9880
O56 0.2055 0.6033 0.4685
O57 0.9625 0.8166 0.3916
O58 0.0774 0.2691 0.1871
O59 0.5536 0.2991 0.6480
O60 0.3713 0.3415 0.7229
O61 0.1287 0.6585 0.2229
O62 0.0536 0.2009 0.3520
O63 0.0375 0.3166 0.1084
O64 0.8173 0.9390 0.1960
O65 0.9131 0.2763 0.9528
O66 0.8875 0.9526 0.9296
O67 0.5375 0.1834 0.8916
O68 0.4625 0.6834 0.6084
O69 0.4010 0.6433 0.9980
O70 0.4131 0.2237 0.0472
O71 0.0974 0.9811 0.5657
O72 0.3524 0.7672 0.3472
O73 0.1018 0.9717 0.7199
O74 0.6037 0.2576 0.4330
O75 0.6125 0.0474 0.4296
O76 0.0303 0.6200 0.3684
O77 0.7055 0.8967 0.5315
O78 0.4697 0.3800 0.8684
O79 0.6290 0.4847 0.6835
O80 0.3875 0.5474 0.0704
S1 0.9319 0.2407 0.1447
S2 0.4409 0.3882 0.6775
S3 0.9409 0.1118 0.3225
S4 0.4748 0.4258 0.3007
S5 0.0591 0.6118 0.1775
S6 0.5123 0.1508 0.4544
S7 0.5010 0.1066 0.0334
S8 0.4877 0.6508 0.0456
S9 0.5252 0.9258 0.1993
S10 0.5681 0.7593 0.6447
S11 0.0252 0.5742 0.8007
S12 0.9990 0.8934 0.5334
S13 0.5591 0.8882 0.8225
S14 0.4319 0.2593 0.8553
S15 0.9877 0.8492 0.9544
S16 0.4990 0.6066 0.4666
S17 0.0681 0.7407 0.3553
S18 0.9748 0.0742 0.6993
S19 0.0010 0.3934 0.9666
S20 0.0123 0.3492 0.5456

Computed properties:
The value obtained for the mass density is 2.37 g/cm3. Its formation energy is -37.4 eV/f.u.

=====

[4]
LaSi2Rh2: relaxed, PBE.

a b c (Å): 5.9491 5.9491 5.9491
angles (deg): 139.22 139.22 59.04
Sites, in units of the cell vectors:
Rh1 0.7500 0.2500 0.5000
Rh2 0.2500 0.7500 0.5000
Si1 0.3725 0.3725 0.0000
Si2 0.6275 0.6275 0.0000
La1 0.0000 0.0000 0.0000

Computed properties:
The value obtained for the mass density is 7.48 g/cm3. Its formation energy is -5.4 eV/f.u.

=====

[5]
Y3Co2Si3: relaxed, PBE.

a b c (Å): 5.6534 5.6534 13.6926
angles (deg): 90.00 90.00 137.28
Sites, in units of the cell vectors:
Si1 0.3796 0.6204 0.5388
Si2 0.6204 0.3796 0.4612
Si3 0.3796 0.6204 0.9612
Si4 0.6204 0.3796 0.0388
Si5 0.6696 0.3304 0.7500
Si6 0.3304 0.6696 0.2500
Co1 0.7856 0.2144 0.9188
Co2 0.2144 0.7856 0.0812
Co3 0.7856 0.2144 0.5812
Co4 0.2144 0.7856 0.4188
Y1 0.0795 0.9205 0.6126
Y2 0.3615 0.6385 0.7500
Y3 0.9205 0.0795 0.1126
Y4 0.6385 0.3615 0.2500
Y5 0.0795 0.9205 0.8874
Y6 0.9205 0.0795 0.3874

Computed properties:
The value obtained for the mass density is 5.24 g/cm3. Its formation energy is -5.8 eV/f.u.

=====

[6]
Ce5CuPb3: relaxed, PBE.

a b c (Å): 6.5879 9.6135 9.6135
angles (deg): 119.90 90.00 90.00
Sites, in units of the cell vectors:
Pb1 0.7500 0.9999 0.6189
Pb2 0.7500 0.3811 0.3811
Pb3 0.2500 0.6189 0.6189
Pb4 0.2500 0.3811 0.0001
Pb5 0.7500 0.6189 0.9999
Pb6 0.2500 0.0001 0.3811
Cu1 0.5000 0.0000 0.0000
Cu2 0.0000 0.0000 0.0000
Ce1 0.0000 0.6667 0.3333
Ce2 0.7500 0.7369 0.7369
Ce3 0.2500 0.2631 0.2631
Ce4 0.7500 0.2634 0.0002
Ce5 0.5000 0.6667 0.3333
Ce6 0.2500 0.9998 0.7366
Ce7 0.5000 0.3333 0.6667
Ce8 0.7500 0.0002 0.2634
Ce9 0.0000 0.3333 0.6667
Ce10 0.2500 0.7366 0.9998

Computed properties:
The value obtained for the mass density is 8.72 g/cm3. Its formation energy is -3.0 eV/f.u.

=====

[7]
Mg2Sn3O8: relaxed, PBE.

a b c (Å): 6.2424 6.2424 5.2781
angles (deg): 71.98 71.98 60.27
Sites, in units of the cell vectors:
Sn1 0.7362 0.2638 0.5000
Sn2 0.2638 0.7362 0.5000
Sn3 0.0000 0.0000 0.0000
O1 0.8902 0.8902 0.4263
O2 0.1059 0.6537 0.9088
O3 0.6537 0.1059 0.9088
O4 0.8941 0.3463 0.0912
O5 0.3905 0.3905 0.4101
O6 0.3463 0.8941 0.0912
O7 0.6095 0.6095 0.5899
O8 0.1098 0.1098 0.5737
Mg1 0.7143 0.7143 0.8550
Mg2 0.2857 0.2857 0.1450

Computed properties:
The value obtained for the polymorph energy (0 for the lowest one) is 52 meV/atom. The value obtained for the mass density is 5.30 g/cm3. Its formation energy is -30.1 eV/f.u.

=====

[8]
MgSi2: relaxed, PBE.

a b c (Å): 6.0109 6.0109 10.6082
angles (deg): 85.75 85.75 34.67
Sites, in units of the cell vectors:
Mg1 0.9882 0.9882 0.6466
Mg2 0.6513 0.6513 0.0769
Mg3 0.3392 0.3392 0.9023
Mg4 0.3723 0.3723 0.4193
Si1 0.9567 0.9567 0.1463
Si2 0.6799 0.6799 0.5637
Si3 0.0513 0.0513 0.3454
Si4 0.0287 0.0287 0.9176
Si5 0.2791 0.2791 0.6618
Si6 0.6468 0.6468 0.8216
Si7 0.6918 0.6918 0.3287
Si8 0.3174 0.3174 0.1698

Computed properties:
The value obtained for the polymorph energy (0 for the lowest one) is 111 meV/atom. The value obtained for the mass density is 2.46 g/cm3. Its formation energy is 0.6 eV/f.u.

=====

[9]
CsUAgSe3: relaxed, PBE.

a b c (Å): 8.3001 8.3001 10.9422
angles (deg): 90.00 90.00 150.06
Sites, in units of the cell vectors:
Se1 0.6171 0.3829 0.5384
Se2 0.6171 0.3829 0.9616
Se3 0.9415 0.0585 0.7500
Se4 0.3829 0.6171 0.4616
Se5 0.0585 0.9415 0.2500
Se6 0.3829 0.6171 0.0384
Cs1 0.7448 0.2552 0.2500
Cs2 0.2552 0.7448 0.7500
Ag1 0.5414 0.4586 0.7500
Ag2 0.4586 0.5414 0.2500
U1 0.0000 0.0000 0.0000
U2 0.0000 0.0000 0.5000

Computed properties:
The value obtained for the mass density is 6.32 g/cm3. Its formation energy is -7.7 eV/f.u.

=====

[10]
Er2SiRh3: relaxed, PBE.

a b c (Å): 5.0187 5.0187 5.0187
angles (deg): 67.42 67.42 67.42
Sites, in units of the cell vectors:
Rh1 0.0000 0.5000 0.0000
Rh2 0.0000 0.0000 0.5000
Rh3 0.5000 0.0000 0.0000
Er1 0.3702 0.3702 0.3702
Er2 0.6298 0.6298 0.6298
Si1 0.0000 0.0000 0.0000

Computed properties:
The value obtained for the mass density is 10.77 g/cm3. Its formation energy is -6.0 eV/f.u.

=====

[11]
Sn2S3O12: relaxed, PBE.

a b c (Å): 9.2873 8.7246 15.3081
angles (deg): 55.61 90.00 90.00
Sites, in units of the cell vectors:
O1 0.2954 0.6572 0.6914
O2 0.0983 0.8050 0.5627
O3 0.0793 0.8362 0.9496
O4 0.9017 0.1950 0.4373
O5 0.7187 0.7547 0.9327
O6 0.8502 0.4262 0.5412
O7 0.9038 0.8498 0.0902
O8 0.8793 0.5175 0.0679
O9 0.8313 0.5440 0.9010
O10 0.1687 0.4560 0.0990
O11 0.7445 0.9422 0.6836
O12 0.5962 0.8498 0.5902
O13 0.4207 0.8362 0.4496
O14 0.9847 0.0998 0.7834
O15 0.3502 0.5738 0.9588
O16 0.2445 0.0578 0.8164
O17 0.5793 0.1638 0.5504
O18 0.4847 0.9002 0.7166
O19 0.2555 0.0578 0.3164
O20 0.7555 0.9422 0.1836
O21 0.6687 0.5440 0.4010
O22 0.3909 0.8230 0.2164
O23 0.0504 0.5303 0.7371
O24 0.8909 0.1770 0.2836
O25 0.4017 0.8050 0.0627
O26 0.0153 0.9002 0.2166
O27 0.1207 0.4825 0.9321
O28 0.6091 0.1770 0.7836
O29 0.3793 0.4825 0.4321
O30 0.5983 0.1950 0.9373
O31 0.4038 0.1502 0.4098
O32 0.9207 0.1638 0.0504
O33 0.5504 0.4697 0.7629
O34 0.5153 0.0998 0.2834
O35 0.7046 0.3428 0.3086
O36 0.7954 0.3428 0.8086
O37 0.2046 0.6572 0.1914
O38 0.6498 0.4262 0.0412
O39 0.9496 0.4697 0.2629
O40 0.0962 0.1502 0.9098
O41 0.1498 0.5738 0.4588
O42 0.4496 0.5303 0.2371
O43 0.1091 0.8230 0.7164
O44 0.7813 0.7547 0.4327
O45 0.6207 0.5175 0.5679
O46 0.3313 0.4560 0.5990
O47 0.2813 0.2453 0.0673
O48 0.2187 0.2453 0.5673
S1 0.3985 0.0389 0.3608
S2 0.8639 0.2879 0.3259
S3 0.2654 0.4384 0.5139
S4 0.6015 0.9611 0.6392
S5 0.6361 0.2879 0.8259
S6 0.1015 0.0389 0.8608
S7 0.7654 0.5616 0.9861
S8 0.2346 0.4384 0.0139
S9 0.7346 0.5616 0.4861
S10 0.8985 0.9611 0.1392
S11 0.1361 0.7121 0.6741
S12 0.3639 0.7121 0.1741
Sn1 0.9657 0.3631 0.8906
Sn2 0.4715 0.8748 0.8814
Sn3 0.4657 0.6369 0.6094
Sn4 0.5343 0.3631 0.3906
Sn5 0.0285 0.8748 0.3814
Sn6 0.5285 0.1252 0.1186
Sn7 0.9715 0.1252 0.6186
Sn8 0.0343 0.6369 0.1094

Computed properties:
The value obtained for the polymorph energy (0 for the lowest one) is 12 meV/atom. The value obtained for the mass density is 3.41 g/cm3. Its formation energy is -31.1 eV/f.u.

=====

[12]
Li3Rh: relaxed, PBE.

a b c (Å): 4.2686 4.2686 4.2686
angles (deg): 60.00 60.00 60.00
Sites, in units of the cell vectors:
Li1 0.5000 0.5000 0.5000
Li2 0.7500 0.7500 0.7500
Li3 0.2500 0.2500 0.2500
Rh1 0.0000 0.0000 0.0000

Computed properties:
The value obtained for the mass density is 3.74 g/cm3. Its formation energy is -0.2 eV/f.u.